a.
# PBE+U AlCo2O4, relaxed
data_AlCo2O4
_chemical_formula_sum 'Al2 Co4 O8'
_symmetry_space_group_name_H-M 'P 1'
_symmetry_Int_Tables_number 1
_symmetry_space_group_name_Hall 'P 1'
_cell_length_a 5.8478
_cell_length_b 5.8478
_cell_length_c 5.8478
_cell_angle_alpha 60.00
_cell_angle_beta 60.00
_cell_angle_gamma 60.00
loop_
_atom_site_label
_atom_site_type_symbol
_atom_site_fract_x
_atom_site_fract_y
_atom_site_fract_z
Al1 Al 0.1250 0.1250 0.1250
Al2 Al 0.8750 0.8750 0.8750
Co1 Co 0.0000 0.5000 0.5000
Co2 Co 0.5000 0.0000 0.5000
Co3 Co 0.5000 0.5000 0.0000
Co4 Co 0.5000 0.5000 0.5000
O1 O 0.2510 0.2510 0.2510
O2 O 0.2510 0.2510 0.7470
O3 O 0.2510 0.7470 0.2510
O4 O 0.2530 0.7490 0.7490
O5 O 0.7470 0.2510 0.2510
O6 O 0.7490 0.2530 0.7490
O7 O 0.7490 0.7490 0.2530
O8 O 0.7490 0.7490 0.7490
# Total moment (μB per formula unit): 7.000
# SG: Fd-3m

=====

b.
# PBE+U AlCo2O4, relaxed
data_AlCo2O4
_chemical_formula_sum 'Al2 Co4 O8'
_symmetry_space_group_name_H-M 'P 1'
_symmetry_Int_Tables_number 1
_symmetry_space_group_name_Hall 'P 1'
_cell_length_a 6.1409
_cell_length_b 6.1409
_cell_length_c 5.1559
_cell_angle_alpha 114.69
_cell_angle_beta 114.69
_cell_angle_gamma 107.32
loop_
_atom_site_label
_atom_site_type_symbol
_atom_site_fract_x
_atom_site_fract_y
_atom_site_fract_z
Al1 Al 0.1224 0.8776 0.7500
Al2 Al 0.8776 0.1224 0.2500
Co1 Co 0.0000 0.5000 0.0000
Co2 Co 0.5000 0.0000 0.5000
Co3 Co 0.5000 0.5000 0.0000
Co4 Co 0.5000 0.5000 0.5000
O1 O 0.1010 0.2795 0.7443
O2 O 0.1425 0.4629 0.3616
O3 O 0.2795 0.1010 0.2443
O4 O 0.4629 0.1425 0.8616
O5 O 0.5371 0.8575 0.1384
O6 O 0.7205 0.8990 0.7557
O7 O 0.8575 0.5371 0.6384
O8 O 0.8990 0.7205 0.2557
# Total moment (μB per formula unit): 3.000
# SG: C2/c

=====

Question: which arrangement is favored energetically? Ranking from most to least stable: a, b.

=====

a.
# PBE+U Al2Co2O7, relaxed
data_Al2Co2O7
_chemical_formula_sum 'Al4 Co4 O14'
_symmetry_space_group_name_H-M 'P 1'
_symmetry_Int_Tables_number 1
_symmetry_space_group_name_Hall 'P 1'
_cell_length_a 6.5319
_cell_length_b 6.5319
_cell_length_c 6.5319
_cell_angle_alpha 60.00
_cell_angle_beta 60.00
_cell_angle_gamma 60.00
loop_
_atom_site_label
_atom_site_type_symbol
_atom_site_fract_x
_atom_site_fract_y
_atom_site_fract_z
Al1 Al 0.0000 0.0000 0.0000
Al2 Al 0.0000 0.0000 0.5000
Al3 Al 0.0000 0.5000 0.0000
Al4 Al 0.5000 0.0000 0.0000
Co1 Co 0.0000 0.5000 0.5000
Co2 Co 0.5000 0.0000 0.5000
Co3 Co 0.5000 0.5000 0.0000
Co4 Co 0.5000 0.5000 0.5000
O1 O 0.1250 0.1250 0.1250
O2 O 0.1578 0.1578 0.5922
O3 O 0.1578 0.5922 0.1578
O4 O 0.1578 0.5922 0.5922
O5 O 0.4078 0.4078 0.8422
O6 O 0.4078 0.8422 0.4078
O7 O 0.4078 0.8422 0.8422
O8 O 0.5922 0.1578 0.1578
O9 O 0.5922 0.1578 0.5922
O10 O 0.5922 0.5922 0.1578
O11 O 0.8422 0.4078 0.4078
O12 O 0.8422 0.4078 0.8422
O13 O 0.8422 0.8422 0.4078
O14 O 0.8750 0.8750 0.8750
# Total moment (μB per formula unit): 2.000
# SG: Fd-3m

=====

b.
# PBE+U Al2Co2O7, relaxed
data_Al2Co2O7
_chemical_formula_sum 'Al4 Co4 O14'
_symmetry_space_group_name_H-M 'P 1'
_symmetry_Int_Tables_number 1
_symmetry_space_group_name_Hall 'P 1'
_cell_length_a 6.4400
_cell_length_b 6.5024
_cell_length_c 6.5456
_cell_angle_alpha 61.14
_cell_angle_beta 60.68
_cell_angle_gamma 60.49
loop_
_atom_site_label
_atom_site_type_symbol
_atom_site_fract_x
_atom_site_fract_y
_atom_site_fract_z
Al1 Al 0.0000 0.0000 0.0000
Al2 Al 0.0000 0.0000 0.5000
Al3 Al 0.0000 0.5000 0.0000
Al4 Al 0.5000 0.0000 0.0000
Co1 Co 0.0000 0.5000 0.5000
Co2 Co 0.5000 0.0000 0.5000
Co3 Co 0.5000 0.5000 0.0000
Co4 Co 0.5000 0.5000 0.5000
O1 O 0.1211 0.1292 0.1305
O2 O 0.1507 0.1611 0.5770
O3 O 0.1574 0.6062 0.1538
O4 O 0.1646 0.5513 0.6196
O5 O 0.3866 0.8373 0.4285
O6 O 0.4027 0.8567 0.8411
O7 O 0.4211 0.3920 0.8441
O8 O 0.5789 0.6080 0.1559
O9 O 0.5973 0.1433 0.1589
O10 O 0.6134 0.1627 0.5715
O11 O 0.8354 0.4487 0.3804
O12 O 0.8426 0.3938 0.8462
O13 O 0.8493 0.8389 0.4230
O14 O 0.8789 0.8708 0.8695
# Total moment (μB per formula unit): 2.000
# SG: P-1

=====

Question: which arrangement is favored energetically? Ranking from most to least stable: b, a.